Entry 1:
DFT (GGA-PBE) results for a relaxed structure of BaTiO3.

Values from the calculation:
Calculated formation energy, meV per atom: -3492
Piezoelectric modulus e_max, C/m2: 4.16
Symmetry: Amm2, No. 38
Theoretical density, g cm⁻³: 5.71

abc: 3.988 4.123 4.123
angles: 89.51 90.00 90.00
Fractional coordinates of all 5 atoms:
Ba 0.000 0.000 0.000
Ti 0.500 0.483 0.483
O 0.000 0.523 0.523
O 0.500 0.034 0.517
O 0.500 0.517 0.034

***

Entry 2:
DFT (GGA-PBE) results for a relaxed structure of Rb3Mn.

Values from the calculation:
Calculated formation energy, meV per atom: 689
Magnetic moment, μB/cell: 4.13
Symmetry: I4/mmm, No. 139
Theoretical density, g cm⁻³: 2.11

abc: 7.499 7.499 7.499
angles: 129.41 129.41 74.36
Fractional coordinates of all 4 atoms:
Rb 0.000 0.000 0.000
Rb 0.250 0.750 0.500
Rb 0.750 0.250 0.500
Mn 0.500 0.500 0.000

***

Entry 3:
DFT (GGA-PBE) results for a relaxed structure of NaH.

Values from the calculation:
Calculated formation energy, meV per atom: -117
Magnetic moment, μB/cell: 0.00
Symmetry: Pm-3m, No. 221
Theoretical density, g cm⁻³: 1.54
Energy above the most stable polymorph in this dataset, kcal/mol of atoms: 3.63

abc: 2.955 2.955 2.955
angles: 90.00 90.00 90.00
Fractional coordinates of all 2 atoms:
Na 0.000 0.000 0.000
H 0.500 0.500 0.500

***

Entry 4:
DFT (GGA-PBE) results for a relaxed structure of MnAl2Co.

Values from the calculation:
Calculated formation energy, meV per atom: -437
Magnetic moment, μB/cell: 1.88
Symmetry: P4/mmm, No. 123
Theoretical density, g cm⁻³: 5.66

abc: 2.854 2.854 6.046
angles: 90.00 90.00 90.00
Fractional coordinates of all 4 atoms:
Mn 0.000 0.000 0.000
Al 0.500 0.500 0.266
Al 0.500 0.500 0.734
Co 0.000 0.000 0.500

***

Entry 5:
DFT (GGA-PBE) results for a relaxed structure of Ba2MgCu2O4.

Values from the calculation:
Calculated formation energy, meV per atom: -1851
Magnetic moment, μB/cell: 0.00
Symmetry: C2/m, No. 12
Theoretical density, g cm⁻³: 5.72

abc: 9.077 9.077 4.673
angles: 92.76 92.76 21.71
Fractional coordinates of all 9 atoms:
Ba 0.173 0.173 0.229
Ba 0.827 0.827 0.771
Mg 0.000 0.000 0.000
Cu 0.424 0.424 0.332
Cu 0.576 0.576 0.668
O 0.319 0.319 0.249
O 0.461 0.461 0.756
O 0.539 0.539 0.244
O 0.681 0.681 0.751

***

Entry 6:
DFT (GGA-PBE) results for a relaxed structure of KAuBr3.

Values from the calculation:
Calculated formation energy, meV per atom: -1108
Magnetic moment, μB/cell: 0.00
Symmetry: Pm-3m, No. 221
Theoretical density, g cm⁻³: 4.98

abc: 5.413 5.413 5.413
angles: 90.00 90.00 90.00
Fractional coordinates of all 5 atoms:
K 0.000 0.000 0.000
Au 0.500 0.500 0.500
Br 0.000 0.500 0.500
Br 0.500 0.000 0.500
Br 0.500 0.500 0.000

***

Entry 7:
DFT (GGA-PBE) results for a relaxed structure of LiCuPO4.

Values from the calculation:
Calculated formation energy, meV per atom: -2176
Magnetic moment, μB/cell: 4.00
Symmetry: Pna2_1, No. 33
Theoretical density, g cm⁻³: 3.24
Energy above the most stable polymorph in this dataset, kcal/mol of atoms: 0.47

abc: 10.646 5.214 6.104
angles: 90.00 90.00 90.00
Fractional coordinates of all 28 atoms:
Li 0.173 0.200 0.000
Li 0.327 0.700 0.500
Li 0.673 0.300 0.000
Li 0.827 0.800 0.500
Cu 0.085 0.818 0.727
Cu 0.415 0.318 0.227
Cu 0.585 0.682 0.727
Cu 0.915 0.182 0.227
P 0.072 0.695 0.229
P 0.428 0.195 0.729
P 0.572 0.805 0.229
P 0.928 0.305 0.729
O 0.064 0.203 0.745
O 0.070 0.400 0.207
O 0.140 0.818 0.028
O 0.150 0.774 0.435
O 0.350 0.274 0.935
O 0.360 0.318 0.528
O 0.430 0.900 0.707
O 0.436 0.703 0.245
O 0.564 0.297 0.745
O 0.570 0.100 0.207
O 0.640 0.682 0.028
O 0.650 0.726 0.435
O 0.850 0.226 0.935
O 0.860 0.182 0.528
O 0.930 0.600 0.707
O 0.936 0.797 0.245

***

Entry 8:
DFT (GGA-PBE) results for a relaxed structure of KRb2SmCl6.

Values from the calculation:
Calculated formation energy, meV per atom: -2453
Magnetic moment, μB/cell: 0.00
Symmetry: Fm-3m, No. 225
Theoretical density, g cm⁻³: 2.57

abc: 8.056 8.056 8.056
angles: 60.00 60.00 60.00
Fractional coordinates of all 10 atoms:
K 0.000 0.000 0.000
Rb 0.250 0.250 0.250
Rb 0.750 0.750 0.750
Sm 0.500 0.500 0.500
Cl 0.264 0.264 0.736
Cl 0.264 0.736 0.264
Cl 0.264 0.736 0.736
Cl 0.736 0.264 0.264
Cl 0.736 0.264 0.736
Cl 0.736 0.736 0.264

***

no.,calculated total energy (eV for the cell shown)
1,-40.06
2,-9.35
3,-4.77
4,-25.51
5,-47.34
6,-13.23
7,-174.80
8,-39.73